! PBE+U Li4Ti4MnCr4O18, relaxed; values from VASP
&SYSTEM
  ibrav = 0, nat = 62, ntyp = 5
/
ATOMIC_SPECIES
Li 6.94 Li.upf
Ti 47.87 Ti.upf
Mn 54.94 Mn.upf
Cr 52.00 Cr.upf
O 16.00 O.upf
CELL_PARAMETERS angstrom
9.1822 0.0000 0.0000
0.0000 24.7813 0.0000
0.0000 0.0000 2.9489
ATOMIC_POSITIONS angstrom
Li 1.7807 0.2892 0.0000
Li 1.8466 20.0614 0.0000
Li 2.7445 7.6708 0.0000
Li 2.8104 12.6798 0.0000
Li 6.3718 12.1015 0.0000
Li 6.4377 17.1105 0.0000
Li 7.3355 4.7199 0.0000
Li 7.4015 24.4921 0.0000
Ti 0.0053 2.4979 0.0000
Ti 1.4673 4.8036 1.4745
Ti 3.1237 17.1942 1.4745
Ti 4.5858 14.8885 0.0000
Ti 4.5964 9.8928 0.0000
Ti 6.0584 7.5870 1.4745
Ti 7.7148 19.9777 1.4745
Ti 9.1769 22.2834 0.0000
Mn 0.0000 12.3906 0.0000
Mn 4.5911 0.0000 0.0000
Cr 0.0114 17.0495 0.0000
Cr 1.4095 10.2801 1.4745
Cr 3.1816 22.6708 1.4745
Cr 4.5797 4.6589 0.0000
Cr 4.6025 20.1224 0.0000
Cr 6.0006 2.1105 1.4745
Cr 7.7726 14.5011 1.4745
Cr 9.1708 7.7318 0.0000
O 0.0902 10.4524 0.0000
O 0.3955 20.8816 1.4745
O 0.5995 1.4033 1.4745
O 0.9916 6.0511 0.0000
O 1.2086 8.3234 1.4745
O 1.2477 17.5876 1.4745
O 1.3060 12.3206 1.4745
O 1.7316 3.5702 0.0000
O 1.8202 22.7876 0.0000
O 2.7709 10.3970 0.0000
O 2.8595 15.9609 0.0000
O 3.2851 24.7113 1.4745
O 3.3434 5.1970 1.4745
O 3.3824 20.7140 1.4745
O 3.5995 18.4418 0.0000
O 3.9916 13.7939 1.4745
O 4.1956 8.4910 1.4745
O 4.5008 22.8431 0.0000
O 4.6813 1.9382 0.0000
O 4.9866 16.2903 1.4745
O 5.1906 10.9873 1.4745
O 5.5827 6.3395 0.0000
O 5.7997 4.0672 1.4745
O 5.8387 19.5843 1.4745
O 5.8971 0.0700 1.4745
O 6.3227 8.8204 0.0000
O 6.4113 14.3843 0.0000
O 7.3620 1.9937 0.0000
O 7.4506 21.2110 0.0000
O 7.8762 12.4606 1.4745
O 7.9345 7.1937 1.4745
O 7.9735 16.4579 1.4745
O 8.1905 18.7301 0.0000
O 8.5827 23.3779 1.4745
O 8.7866 3.8997 1.4745
O 9.0919 14.3288 0.0000
! * spin magnetization: 15.00 μB/f.u.
! * uncorrected energy: -7.673 eV per atom



! PBE+U Li4Ti2Mn4Cr3O18, relaxed; values from VASP
&SYSTEM
  ibrav = 0, nat = 62, ntyp = 5
/
ATOMIC_SPECIES
Li 6.94 Li.upf
Ti 47.87 Ti.upf
Mn 54.94 Mn.upf
Cr 52.00 Cr.upf
O 16.00 O.upf
CELL_PARAMETERS angstrom
9.0291 0.0000 0.0000
0.0000 25.2321 0.0000
0.0000 0.0000 2.9288
ATOMIC_POSITIONS angstrom
Li 1.6277 0.0162 0.0000
Li 1.7846 5.1216 0.0000
Li 2.7299 17.7377 0.0000
Li 2.8869 12.6322 0.0000
Li 6.1422 12.5999 0.0000
Li 6.2992 7.4944 0.0000
Li 7.2445 20.1105 0.0000
Li 7.4015 25.2159 0.0000
Ti 0.0037 2.6940 0.0000
Ti 9.0254 22.5382 0.0000
Ti 4.5183 9.9221 0.0000
Ti 4.5109 15.3100 0.0000
Mn 0.1967 7.8209 0.0000
Mn 1.2458 14.8254 1.4644
Mn 3.2688 2.2093 1.4644
Mn 4.3179 20.4370 0.0000
Mn 4.7112 4.7951 0.0000
Mn 5.7603 23.0228 1.4644
Mn 7.7834 10.4067 1.4644
Mn 8.8325 17.4112 0.0000
Cr 0.0000 12.6161 0.0000
Cr 1.2967 20.2954 1.4644
Cr 3.2179 7.6794 1.4644
Cr 4.5146 0.0000 0.0000
Cr 5.8112 17.5527 1.4644
Cr 7.7324 4.9367 1.4644
O 0.0090 10.6204 0.0000
O 0.3106 23.7415 1.4644
O 0.5095 4.0792 1.4644
O 0.9302 16.7114 1.4644
O 1.0466 19.0563 0.0000
O 1.2796 7.1437 1.4644
O 1.3714 12.8610 1.4644
O 1.6407 21.6198 0.0000
O 2.0051 2.2429 0.0000
O 2.5095 14.8590 0.0000
O 2.8739 9.0037 0.0000
O 3.1432 0.2450 1.4644
O 3.2350 19.7597 1.4644
O 3.4680 6.4402 0.0000
O 3.5843 4.0953 1.4644
O 4.0051 16.6953 1.4644
O 4.2039 11.1255 1.4644
O 4.5056 23.2365 0.0000
O 4.5236 1.9956 0.0000
O 4.8252 14.1066 1.4644
O 5.0240 8.5369 1.4644
O 5.4448 21.1368 1.4644
O 5.5611 18.7919 0.0000
O 5.7942 5.4724 1.4644
O 5.8859 24.9872 1.4644
O 6.1552 16.2284 0.0000
O 6.5196 10.3731 0.0000
O 7.0240 22.9892 0.0000
O 7.3885 3.6123 0.0000
O 7.6577 12.3711 1.4644
O 7.7495 18.0884 1.4644
O 7.9825 6.1759 0.0000
O 8.0989 8.5207 1.4644
O 8.5196 21.1529 1.4644
O 8.7185 1.4906 1.4644
O 9.0201 14.6117 0.0000
! * spin magnetization: 22.00 μB/f.u.
! * uncorrected energy: -7.308 eV per atom